DFT (r²SCAN) results for a relaxed structure of Li9Mn2Co5O16.

Lattice parameters (Å, degrees): 5.6265 6.3281 8.4818 80.72 70.69 63.71
Atoms (fractional coordinates):
Li: 0.0000 0.0000 0.0000
Li: 0.0014 0.4909 0.4938
Li: 0.2407 0.2376 0.7544
Li: 0.2725 0.7381 0.2402
Li: 0.4968 0.9879 0.0032
Li: 0.5117 0.4878 0.4901
Li: 0.7428 0.7388 0.2419
Li: 0.7486 0.4899 0.0016
Li: 0.7556 0.2486 0.7531
Mn: 0.2560 0.4871 0.9998
Mn: 0.9959 0.7388 0.7492
Co: 0.9997 0.2433 0.2459
Co: 0.2530 0.9919 0.4958
Co: 0.5022 0.7397 0.7478
Co: 0.5043 0.2433 0.2460
Co: 0.7520 0.9919 0.4959
O: 0.1131 0.7602 0.5077
O: 0.1295 0.2538 0.0063
O: 0.1400 0.9716 0.7361
O: 0.1406 0.4761 0.2358
O: 0.3611 0.5079 0.7562
O: 0.3619 0.0108 0.2586
O: 0.3745 0.7288 0.9862
O: 0.3941 0.2190 0.4862
O: 0.6031 0.2530 0.0057
O: 0.6106 0.7630 0.5079
O: 0.6377 0.4699 0.2491
O: 0.6429 0.9694 0.7374
O: 0.8588 0.0148 0.2591
O: 0.8706 0.5149 0.7424
O: 0.8937 0.2197 0.4868
O: 0.9010 0.7320 0.9819

Properties
- calculated density (kg/m3) = 4699
- total energy (eV/atom) = -8.593

***

DFT (r²SCAN) results for a relaxed structure of Er3Si6Pd20.

Lattice parameters (Å, degrees): 8.6233 8.6233 8.6233 60.00 60.00 60.00
Atoms (fractional coordinates):
Er: 0.0000 0.0000 0.0000
Er: 0.2500 0.2500 0.2500
Er: 0.7500 0.7500 0.7500
Si: 0.2672 0.2672 0.7328
Si: 0.2672 0.7328 0.2672
Si: 0.2672 0.7328 0.7328
Si: 0.7328 0.2672 0.2672
Si: 0.7328 0.2672 0.7328
Si: 0.7328 0.7328 0.2672
Pd: 0.0000 0.0000 0.3454
Pd: 0.0000 0.0000 0.6546
Pd: 0.0000 0.3454 0.0000
Pd: 0.0000 0.3454 0.6546
Pd: 0.0000 0.6546 0.0000
Pd: 0.0000 0.6546 0.3454
Pd: 0.1494 0.6169 0.6169
Pd: 0.3454 0.0000 0.0000
Pd: 0.3454 0.0000 0.6546
Pd: 0.3454 0.6546 0.0000
Pd: 0.3831 0.3831 0.3831
Pd: 0.3831 0.3831 0.8506
Pd: 0.3831 0.8506 0.3831
Pd: 0.6169 0.1494 0.6169
Pd: 0.6169 0.6169 0.1494
Pd: 0.6169 0.6169 0.6169
Pd: 0.6546 0.0000 0.0000
Pd: 0.6546 0.0000 0.3454
Pd: 0.6546 0.3454 0.0000
Pd: 0.8506 0.3831 0.3831

Properties
- calculated density (kg/m3) = 10249
- total energy (eV/atom) = -22.000

***

DFT (r²SCAN) results for a relaxed structure of CrIrO4.

Lattice parameters (Å, degrees): 4.4684 4.4684 3.0651 90.00 90.00 90.30
Atoms (fractional coordinates):
Cr: 0.0000 0.0000 0.0000
Ir: 0.5000 0.5000 0.5000
O: 0.1908 0.1908 0.5000
O: 0.3017 0.6983 0.0000
O: 0.6983 0.3017 0.0000
O: 0.8092 0.8092 0.5000

Properties
- calculated density (kg/m3) = 8363
- total energy (eV/atom) = -16.779

***

DFT (r²SCAN) results for a relaxed structure of Ca2FeReO6.

Lattice parameters (Å, degrees): 5.3851 9.4774 9.4771 71.79 90.13 90.13
Atoms (fractional coordinates):
O: 0.1969 0.1225 0.3318
Ca: 0.4875 0.9014 0.3496
O: 0.5854 0.6101 0.6353
Fe: 0.5000 0.2500 0.2500
O: 0.6970 0.8318 0.1225
O: 0.9146 0.3647 0.8899
O: 0.8031 0.8775 0.6682
O: 0.4146 0.3899 0.3647
Ca: 0.9876 0.3496 0.4014
O: 0.2076 0.4219 0.6225
Re: 0.0000 0.5000 0.0000
Ca: 0.0124 0.6504 0.5986
O: 0.2924 0.3775 0.0781
O: 0.7924 0.0781 0.8775
O: 0.7924 0.5781 0.3775
O: 0.7076 0.1225 0.4219
Ca: 0.0124 0.1503 0.0986
Re: 0.5000 0.5000 0.5000
Fe: 0.0000 0.2500 0.7500
O: 0.8030 0.3775 0.1682
O: 0.6969 0.3318 0.6225
O: 0.3031 0.6682 0.3775
Re: 0.0000 0.0000 0.5000
Fe: 0.0000 0.7500 0.2500
Ca: 0.5124 0.5987 0.1504
Ca: 0.4875 0.4014 0.8496
O: 0.5854 0.1101 0.1353
O: 0.9146 0.8647 0.3899
O: 0.1969 0.6225 0.8318
O: 0.3031 0.1682 0.8775
Ca: 0.5125 0.0986 0.6504
O: 0.7076 0.6225 0.9219
O: 0.2076 0.9219 0.1225
O: 0.4146 0.8899 0.8647
O: 0.0854 0.1353 0.6101
Ca: 0.9876 0.8496 0.9014
O: 0.2924 0.8775 0.5781
Re: 0.5000 0.0000 0.0000
O: 0.0854 0.6354 0.1101
Fe: 0.5000 0.7500 0.7500

Properties
- calculated density (kg/m3) = 6046
- total energy (eV/atom) = -14.080

***

DFT (r²SCAN) results for a relaxed structure of Pr4AsBrO8.

Lattice parameters (Å, degrees): 8.3938 8.3938 13.3286 90.00 90.00 90.00
Atoms (fractional coordinates):
Pr: 0.0130 0.2443 0.1675
Pr: 0.0130 0.2443 0.8325
Pr: 0.2443 0.5170 0.3319
Pr: 0.2443 0.5170 0.6681
Pr: 0.2443 0.9870 0.3325
Pr: 0.2443 0.9870 0.6675
Pr: 0.4830 0.2443 0.1681
Pr: 0.4830 0.2443 0.8319
Pr: 0.5170 0.7557 0.1681
Pr: 0.5170 0.7557 0.8319
Pr: 0.7557 0.0130 0.3325
Pr: 0.7557 0.0130 0.6675
Pr: 0.7557 0.4830 0.3319
Pr: 0.7557 0.4830 0.6681
Pr: 0.9870 0.7557 0.1675
Pr: 0.9870 0.7557 0.8325
As: 0.0435 0.2519 0.5000
As: 0.2519 0.9565 0.0000
As: 0.7481 0.0435 0.0000
As: 0.9565 0.7481 0.5000
Br: 0.2527 0.4428 0.0000
Br: 0.4428 0.7473 0.5000
Br: 0.5572 0.2527 0.5000
Br: 0.7473 0.5572 0.0000
O: 0.0000 0.0000 0.2500
O: 0.0000 0.0000 0.7500
O: 0.0000 0.5000 0.2388
O: 0.0000 0.5000 0.7612
O: 0.0701 0.7482 0.3954
O: 0.0701 0.7482 0.6046
O: 0.0868 0.8367 0.0000
O: 0.1633 0.0868 0.5000
O: 0.1635 0.4168 0.5000
O: 0.2489 0.2560 0.2700
O: 0.2489 0.2560 0.7300
O: 0.2518 0.0701 0.1046
O: 0.2518 0.0701 0.8954
O: 0.2560 0.7511 0.2300
O: 0.2560 0.7511 0.7700
O: 0.4168 0.8365 0.0000
O: 0.5000 0.0000 0.2612
O: 0.5000 0.0000 0.7388
O: 0.5000 0.5000 0.2500
O: 0.5000 0.5000 0.7500
O: 0.5832 0.1635 0.0000
O: 0.7440 0.2489 0.2300
O: 0.7440 0.2489 0.7700
O: 0.7482 0.9299 0.1046
O: 0.7482 0.9299 0.8954
O: 0.7511 0.7440 0.2700
O: 0.7511 0.7440 0.7300
O: 0.8365 0.5832 0.5000
O: 0.8367 0.9132 0.5000
O: 0.9132 0.1633 0.0000
O: 0.9299 0.2518 0.3954
O: 0.9299 0.2518 0.6046

Properties
- calculated density (kg/m3) = 5987
- total energy (eV/atom) = -16.933

***

DFT (r²SCAN) results for a relaxed structure of YbTlPd2.

Lattice parameters (Å, degrees): 4.7527 4.7527 4.7527 60.00 60.00 60.00
Atoms (fractional coordinates):
Yb: 0.0000 0.0000 0.0000
Tl: 0.5000 0.5000 0.5000
Pd: 0.2500 0.2500 0.2500
Pd: 0.7500 0.7500 0.7500

Properties
- calculated density (kg/m3) = 12912
- total energy (eV/atom) = -34.628

***

DFT (r²SCAN) results for a relaxed structure of SiO2.

Lattice parameters (Å, degrees): 7.4001 8.7605 17.2892 90.00 114.18 90.00
Atoms (fractional coordinates):
Si: 0.0000 0.0039 0.2500
Si: 0.0000 0.9961 0.7500
Si: 0.0659 0.3254 0.0092
Si: 0.0659 0.6746 0.5092
Si: 0.2717 0.1556 0.9201
Si: 0.2717 0.8444 0.4201
Si: 0.2897 0.1501 0.1796
Si: 0.2897 0.8499 0.6796
Si: 0.3096 0.1027 0.5560
Si: 0.3096 0.8973 0.0560
Si: 0.6904 0.1027 0.9440
Si: 0.6904 0.8973 0.4440
Si: 0.7103 0.1501 0.3204
Si: 0.7103 0.8499 0.8204
Si: 0.7283 0.1556 0.5799
Si: 0.7283 0.8444 0.0799
Si: 0.9341 0.3254 0.4908
Si: 0.9341 0.6746 0.9908
O: 0.0000 0.5000 0.0000
O: 0.0000 0.5000 0.5000
O: 0.1270 0.1099 0.8253
O: 0.1270 0.8901 0.3253
O: 0.1278 0.2189 0.5289
O: 0.1278 0.7811 0.0289
O: 0.1405 0.1144 0.2240
O: 0.1405 0.8856 0.7240
O: 0.1937 0.3023 0.9533
O: 0.1937 0.6977 0.4533
O: 0.1962 0.2798 0.1073
O: 0.1962 0.7202 0.6073
O: 0.2766 0.0118 0.9789
O: 0.2766 0.9882 0.4789
O: 0.3251 0.0062 0.6379
O: 0.3251 0.9938 0.1379
O: 0.4876 0.1950 0.9233
O: 0.4876 0.8050 0.4233
O: 0.5000 0.2092 0.2500
O: 0.5000 0.7908 0.7500
O: 0.5124 0.1950 0.5767
O: 0.5124 0.8050 0.0767
O: 0.6749 0.0062 0.8621
O: 0.6749 0.9938 0.3621
O: 0.7234 0.0118 0.5211
O: 0.7234 0.9882 0.0211
O: 0.8038 0.2798 0.3927
O: 0.8038 0.7202 0.8927
O: 0.8063 0.3023 0.5467
O: 0.8063 0.6977 0.0467
O: 0.8595 0.1144 0.2760
O: 0.8595 0.8856 0.7760
O: 0.8722 0.2189 0.9711
O: 0.8722 0.7811 0.4711
O: 0.8730 0.1099 0.6747
O: 0.8730 0.8901 0.1747

Properties
- calculated density (kg/m3) = 1756
- total energy (eV/atom) = -9.917

***

DFT (r²SCAN) results for a relaxed structure of Na3SbP2O9.

Lattice parameters (Å, degrees): 6.9795 9.2492 12.3113 90.00 90.00 90.00
Atoms (fractional coordinates):
Na: 0.1224 0.1078 0.1565
Na: 0.1812 0.2553 0.7590
Na: 0.2440 0.5843 0.5134
Na: 0.2560 0.4157 0.0134
Na: 0.3188 0.7447 0.2590
Na: 0.3776 0.8922 0.6565
Na: 0.6224 0.3922 0.8435
Na: 0.6812 0.2447 0.2410
Na: 0.7440 0.9157 0.4866
Na: 0.7560 0.0843 0.9866
Na: 0.8188 0.7553 0.7410
Na: 0.8776 0.6078 0.3435
Sb: 0.0223 0.7462 0.0046
Sb: 0.4777 0.2538 0.5046
Sb: 0.5223 0.7538 0.9954
Sb: 0.9777 0.2462 0.4954
P: 0.2272 0.3743 0.2971
P: 0.2363 0.9688 0.4209
P: 0.2637 0.0312 0.9209
P: 0.2728 0.6257 0.7971
P: 0.7272 0.1257 0.7029
P: 0.7363 0.5312 0.5791
P: 0.7637 0.4688 0.0791
P: 0.7728 0.8743 0.2029
O: 0.0468 0.2882 0.3428
O: 0.0492 0.0408 0.4708
O: 0.0903 0.6958 0.8533
O: 0.0943 0.9540 0.9867
O: 0.2075 0.5304 0.3294
O: 0.2235 0.3055 0.5563
O: 0.2415 0.8142 0.4561
O: 0.2424 0.3374 0.1799
O: 0.2467 0.0072 0.8013
O: 0.2533 0.9928 0.3013
O: 0.2576 0.6626 0.6799
O: 0.2585 0.1858 0.9561
O: 0.2765 0.6945 0.0563
O: 0.2925 0.4696 0.8294
O: 0.4057 0.0460 0.4867
O: 0.4097 0.3042 0.3533
O: 0.4508 0.9592 0.9708
O: 0.4532 0.7118 0.8428
O: 0.5468 0.2118 0.6572
O: 0.5492 0.4592 0.5292
O: 0.5903 0.8042 0.1467
O: 0.5943 0.5460 0.0133
O: 0.7075 0.9696 0.6706
O: 0.7235 0.1945 0.4437
O: 0.7415 0.6858 0.5439
O: 0.7424 0.1626 0.8201
O: 0.7467 0.4928 0.1987
O: 0.7533 0.5072 0.6987
O: 0.7576 0.8374 0.3201
O: 0.7585 0.3142 0.0439
O: 0.7765 0.8055 0.9437
O: 0.7925 0.0304 0.1706
O: 0.9057 0.4540 0.5133
O: 0.9097 0.1958 0.6467
O: 0.9508 0.5408 0.0292
O: 0.9532 0.7882 0.1572

Properties
- calculated density (kg/m3) = 3315
- total energy (eV/atom) = -9.474

***

- Look up the calculated density of the eighth one.
  3315 kg/m3